# Ca2PdWO6, optimized geometry, DFT PBE with a Hubbard U
# Energy above the lowest structure with this stoichiometry in eV per atom: 0.040
data_Ca2PdWO6
_chemical_formula_sum 'Ca8 Pd4 W4 O24'
_space_group_name_H-M_alt 'F m -3 m'
_space_group_IT_number 225
_space_group_name_Hall '-F 4 2 3'
_cell_length_a 8.137
_cell_length_b 8.137
_cell_length_c 8.137
_cell_angle_alpha 90.00
_cell_angle_beta 90.00
_cell_angle_gamma 90.00
loop_
_atom_site_label
_atom_site_type_symbol
_atom_site_fract_x
_atom_site_fract_y
_atom_site_fract_z
Ca1 Ca 0.250 0.250 0.250
Pd1 Pd 0.000 0.000 0.000
W1 W 0.000 0.000 0.500
O1 O 0.000 0.000 0.263

Material: KLiTb2Mo4O16
Method: DFT, PBE with a Hubbard U
State: optimized geometry

Geometry as CIF:
```
data_KLiTb2Mo4O16
_chemical_formula_sum 'K4 Li4 Tb8 Mo16 O64'
_space_group_name_H-M_alt 'C 1 2/c 1'
_space_group_IT_number 15
_cell_length_a 5.288
_cell_length_b 12.806
_cell_length_c 19.640
_cell_angle_alpha 90.00
_cell_angle_beta 93.14
_cell_angle_gamma 90.00
loop_
_space_group_symop_operation_xyz
'x,y,z'
'-x,-y,-z'
'-x,y,-z+1/2'
'x,-y,z+1/2'
'x+1/2,y+1/2,z'
'-x+1/2,-y+1/2,-z'
'-x+1/2,y+1/2,-z+1/2'
'x+1/2,-y+1/2,z+1/2'
loop_
_atom_site_label
_atom_site_type_symbol
_atom_site_fract_x
_atom_site_fract_y
_atom_site_fract_z
K1 K 0.000 0.031 0.250
Li1 Li 0.000 0.313 0.250
Tb1 Tb 0.001 0.147 0.468
Mo1 Mo 0.010 0.257 0.648
Mo2 Mo 0.019 0.438 0.092
O1 O 0.108 0.409 0.329
O2 O 0.129 0.139 0.827
O3 O 0.163 0.330 0.042
O4 O 0.176 0.240 0.567
O5 O 0.232 0.297 0.714
O6 O 0.233 0.454 0.602
O7 O 0.242 0.020 0.537
O8 O 0.248 0.349 0.868
```

# Mg2SbWO6, optimized geometry, DFT PBE with a Hubbard U
# Energy above the lowest structure with this stoichiometry in eV per atom: 0.042
data_Mg2SbWO6
_chemical_formula_sum 'Mg4 Sb2 W2 O12'
_space_group_name_H-M_alt 'P 1 21/m 1'
_space_group_IT_number 11
_cell_length_a 5.514
_cell_length_b 7.951
_cell_length_c 5.526
_cell_angle_alpha 90.00
_cell_angle_beta 93.78
_cell_angle_gamma 90.00
loop_
_space_group_symop_operation_xyz
'x,y,z'
'-x,-y,-z'
'-x,y+1/2,-z'
'x,-y+1/2,z'
loop_
_atom_site_label
_atom_site_type_symbol
_atom_site_fract_x
_atom_site_fract_y
_atom_site_fract_z
Mg1 Mg 0.029 0.250 0.019
Mg2 Mg 0.454 0.750 0.503
Sb1 Sb 0.500 0.000 0.000
W1 W 0.000 0.000 0.500
O1 O 0.089 0.750 0.632
O2 O 0.156 0.575 0.191
O3 O 0.315 0.072 0.631
O4 O 0.393 0.250 0.143

# Li9Mn2Co5O16, optimized geometry, DFT PBE with a Hubbard U
# Energy above the lowest structure with this stoichiometry in eV per atom: 0.032
data_Li9Mn2Co5O16
_chemical_formula_sum 'Li9 Mn2 Co5 O16'
_space_group_name_H-M_alt 'P 1'
_space_group_IT_number 1
_cell_length_a 5.015
_cell_length_b 5.100
_cell_length_c 11.728
_cell_angle_alpha 90.76
_cell_angle_beta 91.05
_cell_angle_gamma 108.33
loop_
_space_group_symop_operation_xyz
'x,y,z'
loop_
_atom_site_label
_atom_site_type_symbol
_atom_site_fract_x
_atom_site_fract_y
_atom_site_fract_z
Li1 Li 0.000 0.000 0.000
Li2 Li 0.002 0.997 0.237
Li3 Li 0.007 0.503 0.110
Li4 Li 0.014 0.010 0.479
Li5 Li 0.491 0.994 0.611
Li6 Li 0.495 0.994 0.872
Li7 Li 0.500 0.000 0.118
Li8 Li 0.514 0.008 0.360
Li9 Li 0.986 0.990 0.743
Mn1 Mn 0.484 0.483 0.742
Mn2 Mn 0.500 0.499 0.993
Co1 Co 0.003 0.508 0.353
Co2 Co 0.502 0.504 0.489
Co3 Co 0.505 0.514 0.236
Co4 Co 0.988 0.485 0.612
Co5 Co 0.992 0.492 0.866
O1 O 0.226 0.702 0.742
O2 O 0.244 0.714 0.493
O3 O 0.245 0.249 0.627
O4 O 0.248 0.718 0.979
O5 O 0.253 0.276 0.864
O6 O 0.266 0.741 0.243
O7 O 0.277 0.281 0.370
O8 O 0.286 0.270 0.105
O9 O 0.709 0.710 0.624
O10 O 0.728 0.737 0.106
O11 O 0.731 0.709 0.863
O12 O 0.737 0.267 0.745
O13 O 0.746 0.273 0.496
O14 O 0.752 0.280 0.980
O15 O 0.761 0.749 0.367
O16 O 0.763 0.277 0.246

| no. | formation energy from the elements (eV/atom) | ρ (g cm⁻³) |
| --- | --- | --- |
| 1 | -2.18 | 5.8 |
| 2 | -2.53 | 5.0 |
| 3 | -2.24 | 6.2 |
| 4 | -1.83 | 4.2 |